# Co9S8 | the Materials Project database | GGA-PBE | optimized geometry
# E_form, eV/atom: -0.716
# VASP energy, eV per cell: -105.22
data_Co9S8
_chemical_formula_sum 'Co9 S8'
_symmetry_space_group_name_H-M 'P 1'
_symmetry_Int_Tables_number 1
_cell_length_a 6.9328
_cell_length_b 6.9328
_cell_length_c 6.9328
_cell_angle_alpha 60.00
_cell_angle_beta 60.00
_cell_angle_gamma 60.00
loop_
_symmetry_equiv_pos_as_xyz
'x,y,z'
loop_
_atom_site_label
_atom_site_type_symbol
_atom_site_fract_x
_atom_site_fract_y
_atom_site_fract_z
_atom_site_occupancy
Co1 Co 0.6204 0.1265 0.1265 1
Co2 Co 0.1265 0.1265 0.1265 1
Co3 Co 0.8735 0.8735 0.8735 1
Co4 Co 0.3796 0.8735 0.8735 1
Co5 Co 0.8735 0.3796 0.8735 1
Co6 Co 0.5000 0.5000 0.5000 1
Co7 Co 0.8735 0.8735 0.3796 1
Co8 Co 0.1265 0.1265 0.6204 1
Co9 Co 0.1265 0.6204 0.1265 1
S1 S 0.2613 0.7387 0.2613 1
S2 S 0.7387 0.2613 0.7387 1
S3 S 0.2613 0.2613 0.7387 1
S4 S 0.7387 0.7387 0.2613 1
S5 S 0.7387 0.2613 0.2613 1
S6 S 0.2613 0.7387 0.7387 1
S7 S 0.7500 0.7500 0.7500 1
S8 S 0.2500 0.2500 0.2500 1



# KTbGeS4 | the Materials Project database | GGA-PBE | optimized geometry
# E_form, eV/atom: -1.540
# VASP energy, eV per cell: -71.37
# Maximum piezoelectric response, C/m2: 0.3
data_KTbGeS4
_chemical_formula_sum 'K2 Tb2 Ge2 S8'
_symmetry_space_group_name_H-M 'P 1'
_symmetry_Int_Tables_number 1
_cell_length_a 6.7327
_cell_length_b 6.5590
_cell_length_c 8.7829
_cell_angle_alpha 72.71
_cell_angle_beta 90.00
_cell_angle_gamma 90.00
loop_
_symmetry_equiv_pos_as_xyz
'x,y,z'
loop_
_atom_site_label
_atom_site_type_symbol
_atom_site_fract_x
_atom_site_fract_y
_atom_site_fract_z
_atom_site_occupancy
K1 K 0.8799 0.7306 0.0660 1
K2 K 0.3799 0.2694 0.9340 1
Tb1 Tb 0.3617 0.2279 0.4497 1
Tb2 Tb 0.8617 0.7721 0.5503 1
Ge1 Ge 0.8970 0.2256 0.6724 1
Ge2 Ge 0.3970 0.7744 0.3276 1
S1 S 0.6331 0.0251 0.2821 1
S2 S 0.8989 0.4301 0.8308 1
S3 S 0.4690 0.5654 0.5720 1
S4 S 0.9690 0.4346 0.4280 1
S5 S 0.3989 0.5699 0.1692 1
S6 S 0.6263 0.0202 0.6984 1
S7 S 0.1331 0.9749 0.7179 1
S8 S 0.1263 0.9798 0.3016 1



# Gd6MgIn2O12 | the Materials Project database | GGA-PBE | optimized geometry
# E_form, eV/atom: -3.195
# VASP energy, eV per cell: -209.78
data_Gd6MgIn2O12
_chemical_formula_sum 'Gd6 Mg1 In2 O12'
_symmetry_space_group_name_H-M 'P 1'
_symmetry_Int_Tables_number 1
_cell_length_a 6.9925
_cell_length_b 6.9593
_cell_length_c 6.8380
_cell_angle_alpha 94.15
_cell_angle_beta 91.73
_cell_angle_gamma 91.75
loop_
_symmetry_equiv_pos_as_xyz
'x,y,z'
loop_
_atom_site_label
_atom_site_type_symbol
_atom_site_fract_x
_atom_site_fract_y
_atom_site_fract_z
_atom_site_occupancy
Gd1 Gd 0.0722 0.5490 0.2572 1
Gd2 Gd 0.2465 0.0610 0.5373 1
Gd3 Gd 0.4266 0.7919 0.9353 1
Gd4 Gd 0.5931 0.2571 0.1130 1
Gd5 Gd 0.7466 0.9253 0.4492 1
Gd6 Gd 0.8946 0.4387 0.7398 1
Mg1 Mg 0.3011 0.3886 0.8545 1
In1 In 0.9680 0.9738 0.9748 1
In2 In 0.4929 0.5124 0.5002 1
O1 O 0.1354 0.6032 0.9268 1
O2 O 0.0645 0.8725 0.3218 1
O3 O 0.2018 0.4038 0.5611 1
O4 O 0.3559 0.1175 0.8889 1
O5 O 0.3960 0.5149 0.1945 1
O6 O 0.4617 0.8173 0.6019 1
O7 O 0.5313 0.1945 0.4256 1
O8 O 0.5693 0.4932 0.8227 1
O9 O 0.6560 0.9362 0.1266 1
O10 O 0.7973 0.5870 0.4616 1
O11 O 0.9300 0.1346 0.6343 1
O12 O 0.8990 0.3174 0.0629 1



# Zr2CoOs | the Materials Project database | GGA-PBE | optimized geometry
# E_form, eV/atom: -0.431
# VASP energy, eV per cell: -37.15
data_Zr2CoOs
_chemical_formula_sum 'Zr2 Co1 Os1'
_symmetry_space_group_name_H-M 'P 1'
_symmetry_Int_Tables_number 1
_cell_length_a 4.6096
_cell_length_b 4.6104
_cell_length_c 4.6104
_cell_angle_alpha 60.00
_cell_angle_beta 59.99
_cell_angle_gamma 59.99
loop_
_symmetry_equiv_pos_as_xyz
'x,y,z'
loop_
_atom_site_label
_atom_site_type_symbol
_atom_site_fract_x
_atom_site_fract_y
_atom_site_fract_z
_atom_site_occupancy
Zr1 Zr 0.0001 0.0000 0.0000 1
Zr2 Zr 0.4999 0.5000 0.5000 1
Co1 Co 0.2500 0.2500 0.2500 1
Os1 Os 0.7500 0.7500 0.7500 1



# AlCu6H18SClO19 | the Materials Project database | GGA-PBE | optimized geometry
# E_form, eV/atom: -1.300
# VASP energy, eV per cell: -472.27
data_AlCu6H18SClO19
_chemical_formula_sum 'Al2 Cu12 H36 S2 Cl2 O38'
_symmetry_space_group_name_H-M 'P 1'
_symmetry_Int_Tables_number 1
_cell_length_a 8.3732
_cell_length_b 8.3726
_cell_length_c 14.4632
_cell_angle_alpha 90.03
_cell_angle_beta 89.95
_cell_angle_gamma 120.00
loop_
_symmetry_equiv_pos_as_xyz
'x,y,z'
loop_
_atom_site_label
_atom_site_type_symbol
_atom_site_fract_x
_atom_site_fract_y
_atom_site_fract_z
_atom_site_occupancy
Al1 Al 0.3333 0.6667 0.5014 1
Al2 Al 0.6667 0.3333 0.0014 1
Cu1 Cu 0.7596 0.9605 0.4994 1
Cu2 Cu 0.2009 0.2404 0.4993 1
Cu3 Cu 0.0395 0.7991 0.4994 1
Cu4 Cu 0.7991 0.0395 0.9994 1
Cu5 Cu 0.9605 0.7596 0.9993 1
Cu6 Cu 0.2403 0.2009 0.9994 1
Cu7 Cu 0.4669 0.0965 0.4810 1
Cu8 Cu 0.6296 0.5331 0.4810 1
Cu9 Cu 0.9037 0.3704 0.4811 1
Cu10 Cu 0.3704 0.9035 0.9810 1
Cu11 Cu 0.0966 0.4669 0.9810 1
Cu12 Cu 0.5333 0.6296 0.9811 1
H1 H 0.2060 0.7731 0.2435 1
H2 H 0.5671 0.7941 0.2435 1
H3 H 0.2270 0.4333 0.2436 1
H4 H 0.4329 0.2269 0.7435 1
H5 H 0.7731 0.2059 0.7435 1
H6 H 0.7937 0.5667 0.7436 1
H7 H 0.9962 0.6327 0.2435 1
H8 H 0.6366 0.0039 0.2435 1
H9 H 0.3669 0.3633 0.2433 1
H10 H 0.3635 0.3673 0.7435 1
H11 H 0.6327 0.9961 0.7435 1
H12 H 0.0036 0.6367 0.7433 1
H13 H 0.2041 0.0377 0.3681 1
H14 H 0.8339 0.7961 0.3681 1
H15 H 0.9624 0.1662 0.3681 1
H16 H 0.1664 0.9623 0.8681 1
H17 H 0.0378 0.2039 0.8681 1
H18 H 0.7962 0.8338 0.8681 1
H19 H 0.4606 0.8796 0.3585 1
H20 H 0.4194 0.5395 0.3585 1
H21 H 0.1205 0.5808 0.3584 1
H22 H 0.5810 0.1204 0.8585 1
H23 H 0.8799 0.4605 0.8585 1
H24 H 0.5397 0.4192 0.8584 1
H25 H 0.8507 0.5307 0.6122 1
H26 H 0.6797 0.1491 0.6122 1
H27 H 0.4691 0.3201 0.6121 1
H28 H 0.3199 0.4693 0.1122 1
H29 H 0.5306 0.8509 0.1122 1
H30 H 0.1490 0.6799 0.1121 1
H31 H 0.5761 0.7522 0.6356 1
H32 H 0.1757 0.4235 0.6356 1
H33 H 0.2475 0.8244 0.6356 1
H34 H 0.8239 0.2478 0.1356 1
H35 H 0.7522 0.5765 0.1356 1
H36 H 0.4231 0.1756 0.1356 1
S1 S 0.0000 0.9999 0.7181 1
S2 S 0.0001 0.0001 0.2181 1
Cl1 Cl 0.6670 0.3334 0.3366 1
Cl2 Cl 0.3337 0.6666 0.8366 1
O1 O 0.1167 0.6428 0.2325 1
O2 O 0.5263 0.8834 0.2326 1
O3 O 0.3571 0.4739 0.2325 1
O4 O 0.4739 0.3572 0.7325 1
O5 O 0.6428 0.1166 0.7326 1
O6 O 0.8833 0.5261 0.7325 1
O7 O 0.2160 0.0361 0.4372 1
O8 O 0.8203 0.7841 0.4373 1
O9 O 0.9640 0.1797 0.4373 1
O10 O 0.1798 0.9639 0.9372 1
O11 O 0.0362 0.2159 0.9373 1
O12 O 0.7842 0.8203 0.9373 1
O13 O 0.4683 0.8834 0.4263 1
O14 O 0.4154 0.5319 0.4262 1
O15 O 0.1168 0.5848 0.4262 1
O16 O 0.5848 0.1166 0.9263 1
O17 O 0.8835 0.4681 0.9262 1
O18 O 0.5320 0.4152 0.9262 1
O19 O 0.8481 0.5482 0.5444 1
O20 O 0.7000 0.1519 0.5445 1
O21 O 0.4517 0.3000 0.5444 1
O22 O 0.2999 0.4518 0.0444 1
O23 O 0.5481 0.8481 0.0445 1
O24 O 0.1517 0.7000 0.0444 1
O25 O 0.0512 0.1888 0.7527 1
O26 O 0.1377 0.9487 0.7526 1
O27 O 0.8112 0.8623 0.7528 1
O28 O 0.8624 0.8112 0.2527 1
O29 O 0.1890 0.0513 0.2526 1
O30 O 0.9489 0.1377 0.2528 1
O31 O 0.5581 0.7532 0.5690 1
O32 O 0.1949 0.4418 0.5690 1
O33 O 0.2466 0.8049 0.5690 1
O34 O 0.8048 0.2468 0.0690 1
O35 O 0.7531 0.5582 0.0690 1
O36 O 0.4416 0.1951 0.0690 1
O37 O 0.9999 0.0000 0.6152 1
O38 O 0.0000 0.0000 0.1152 1



# VIr | the Materials Project database | GGA-PBE | optimized geometry
# E_form, eV/atom: -0.516
# VASP energy, eV per cell: -75.82
data_VIr
_chemical_formula_sum 'V4 Ir4'
_symmetry_space_group_name_H-M 'P 1'
_symmetry_Int_Tables_number 1
_cell_length_a 5.3087
_cell_length_b 5.3087
_cell_length_c 3.9676
_cell_angle_alpha 90.00
_cell_angle_beta 90.00
_cell_angle_gamma 94.38
loop_
_symmetry_equiv_pos_as_xyz
'x,y,z'
loop_
_atom_site_label
_atom_site_type_symbol
_atom_site_fract_x
_atom_site_fract_y
_atom_site_fract_z
_atom_site_occupancy
V1 V 0.0000 0.0000 0.0000 1
V2 V 0.5000 0.5000 0.0000 1
V3 V 0.2177 0.7823 0.5000 1
V4 V 0.7823 0.2177 0.5000 1
Ir1 Ir 0.5000 0.0000 0.0000 1
Ir2 Ir 0.0000 0.5000 0.0000 1
Ir3 Ir 0.2734 0.2734 0.5000 1
Ir4 Ir 0.7266 0.7266 0.5000 1



# IrCl3 | the Materials Project database | GGA-PBE | optimized geometry
# E_form, eV/atom: -0.487
# VASP energy, eV per cell: -28.98
data_IrCl3
_chemical_formula_sum 'Ir2 Cl6'
_symmetry_space_group_name_H-M 'P 1'
_symmetry_Int_Tables_number 1
_cell_length_a 9.6589
_cell_length_b 9.6589
_cell_length_c 3.3933
_cell_angle_alpha 90.00
_cell_angle_beta 90.00
_cell_angle_gamma 120.00
loop_
_symmetry_equiv_pos_as_xyz
'x,y,z'
loop_
_atom_site_label
_atom_site_type_symbol
_atom_site_fract_x
_atom_site_fract_y
_atom_site_fract_z
_atom_site_occupancy
Ir1 Ir 0.3333 0.6667 0.7500 1
Ir2 Ir 0.6667 0.3333 0.2500 1
Cl1 Cl 0.2310 0.4620 0.2500 1
Cl2 Cl 0.5380 0.7690 0.2500 1
Cl3 Cl 0.2310 0.7690 0.2500 1
Cl4 Cl 0.7690 0.5380 0.7500 1
Cl5 Cl 0.4620 0.2310 0.7500 1
Cl6 Cl 0.7690 0.2310 0.7500 1



# K2UF6 | the Materials Project database | GGA-PBE | optimized geometry
# E_form, eV/atom: -3.637
# VASP energy, eV per cell: -54.96
data_K2UF6
_chemical_formula_sum 'K2 U1 F6'
_symmetry_space_group_name_H-M 'P 1'
_symmetry_Int_Tables_number 1
_cell_length_a 7.2719
_cell_length_b 7.2719
_cell_length_c 7.2719
_cell_angle_alpha 146.82
_cell_angle_beta 129.64
_cell_angle_gamma 61.65
loop_
_symmetry_equiv_pos_as_xyz
'x,y,z'
loop_
_atom_site_label
_atom_site_type_symbol
_atom_site_fract_x
_atom_site_fract_y
_atom_site_fract_z
_atom_site_occupancy
K1 K 0.6675 0.6675 0.0000 1
K2 K 0.3325 0.3325 0.0000 1
U1 U 0.0000 0.0000 0.0000 1
F1 F 0.6363 0.8616 0.7747 1
F2 F 0.1976 0.5000 0.6976 1
F3 F 0.9132 0.1384 0.7747 1
F4 F 0.0868 0.8616 0.2253 1
F5 F 0.8024 0.5000 0.3024 1
F6 F 0.3637 0.1384 0.2253 1